This record from Materials Project describes a geometry-optimized Mn3Ir structure. The functional is r²SCAN.

Lattice parameters (Å, degrees): 4.4136 9.4978 5.3869 90.00 90.00 90.00
Last column: nearest neighbours and their distance in Å.
Space group Ama2 (No. 40)
Symmetry-distinct sites (fractional):
Mn 0.2500 0.0819 0.0000 x4  8 Mn 2.62-2.78, 4 Ir 2.69-2.73
Mn 0.2500 0.0826 0.4863 x4  8 Mn 2.62-2.77, 4 Ir 2.71-2.75
Mn 0.2500 0.3297 0.2400 x4  4 Ir 2.67-2.70, 8 Mn 2.68-2.78
Ir 0.2500 0.3286 0.7397 x4  12 Mn 2.67-2.75

Computed properties:
Total magnetic moment ... 0.0 μB per cell
Total DFT energy (no corrections) ... -0.90174 hartree per atom

---

This record from Materials Project describes a geometry-optimized Mn3Ir structure. The functional is r²SCAN.

Lattice parameters (Å, degrees): 5.3134 4.3659 5.3728 90.00 118.98 90.00
Last column: nearest neighbours and their distance in Å.
Space group Pm (No. 6)
Symmetry-distinct sites (fractional):
Mn 0.0000 0.0000 0.0000 x1  8 Mn 2.63-2.74, 4 Ir 2.66-2.76
Mn 0.0038 0.0000 0.5125 x1  8 Mn 2.63-2.74, 4 Ir 2.64-2.67
Mn 0.1692 0.5000 0.3238 x1  8 Mn 2.62-2.74, 4 Ir 2.67-2.70
Mn 0.5046 0.0000 0.0116 x1  8 Mn 2.65-2.71, 4 Ir 2.66-2.71
Mn 0.6598 0.5000 0.8218 x1  4 Ir 2.60-2.72, 8 Mn 2.62-2.75
Mn 0.6685 0.5000 0.3380 x1  8 Mn 2.62-2.75, 4 Ir 2.69-2.72
Ir 0.1747 0.5000 0.8296 x1  12 Mn 2.60-2.72
Ir 0.5027 0.0000 0.5152 x1  12 Mn 2.62-2.76

Computed properties:
Total magnetic moment ... 4.0 μB per cell
Total DFT energy (no corrections) ... -0.89846 hartree per atom